Run a
Material: KFe11O17
Method: DFT, GGA+U
State: optimized geometry

Lattice parameters (Å, degrees): 5.9902 10.3768 24.0591 90.00 90.20 90.00
Space group C2 (No. 5)
Asymmetric unit:
K 0.0000 0.0000 0.0000 x2
K 0.0000 0.3326 0.5000 x2
Fe 0.0005 0.3314 0.0757 x4
Fe 0.9995 0.4980 0.3552 x4
Fe 0.0005 0.6660 0.2504 x4
Fe 0.0005 0.9996 0.4242 x4
Fe 0.0010 0.9996 0.7247 x4
Fe 0.0018 0.3321 0.2246 x4
Fe 0.0024 0.8338 0.8568 x4
Fe 0.2457 0.0832 0.1415 x4
Fe 0.2475 0.2494 0.6432 x4
Fe 0.2477 0.2500 0.3551 x4
Fe 0.2502 0.0823 0.8516 x4
O 0.0000 0.0007 0.5000 x2
O 0.0002 0.1704 0.3960 x4
O 0.0000 0.3325 0.0000 x2
O 0.9996 0.6661 0.3927 x4
O 0.0000 0.8231 0.2996 x4
O 0.0006 0.3328 0.6962 x4
O 0.0036 0.0006 0.8054 x4
O 0.0070 0.5095 0.1988 x4
O 0.0076 0.6634 0.1084 x4
O 0.0104 0.1616 0.8969 x4
O 0.2354 0.5870 0.7006 x4
O 0.2346 0.7440 0.8019 x4
O 0.2355 0.5875 0.3015 x4
O 0.2383 0.7406 0.1989 x4
O 0.2441 0.4139 0.3962 x4
O 0.2435 0.4139 0.6031 x4
O 0.2444 0.9177 0.1024 x4
O 0.2480 0.9218 0.8955 x4


Run b
Material: KFe11O17
Method: DFT, GGA+U
State: optimized geometry

Lattice parameters (Å, degrees): 5.9898 5.9902 24.0591 89.80 89.88 60.02
Space group P1 (No. 1)
Asymmetric unit:
K 0.0000 0.0000 0.0000 x1
K 0.3348 0.3325 0.5007 x1
Fe 0.0006 0.0017 0.2743 x1
Fe 0.0008 0.9990 0.4249 x1
Fe 0.0008 0.9985 0.7254 x1
Fe 0.0017 0.9999 0.5749 x1
Fe 0.0040 0.4984 0.3559 x1
Fe 0.0038 0.4988 0.6439 x1
Fe 0.3325 0.8312 0.8575 x1
Fe 0.3320 0.8369 0.1420 x1
Fe 0.3347 0.3315 0.2234 x1
Fe 0.3359 0.3337 0.7761 x1
Fe 0.3372 0.3317 0.9250 x1
Fe 0.3383 0.3295 0.0746 x1
Fe 0.4999 0.0022 0.3558 x1
Fe 0.4999 0.4985 0.3559 x1
Fe 0.5011 0.0018 0.6438 x1
Fe 0.5010 0.4986 0.6438 x1
Fe 0.6680 0.6660 0.2494 x1
Fe 0.6680 0.6664 0.7503 x1
Fe 0.8341 0.3304 0.8574 x1
Fe 0.8336 0.8374 0.1422 x1
Fe 0.8346 0.3343 0.1478 x1
Fe 0.8354 0.8320 0.8523 x1
O 0.1565 0.6736 0.8962 x1
O 0.1585 0.1701 0.1038 x1
O 0.1644 0.1624 0.8970 x1
O 0.1646 0.6732 0.1031 x1
O 0.1722 0.1697 0.3969 x1
O 0.1722 0.1703 0.6038 x1
O 0.1723 0.6575 0.3969 x1
O 0.1721 0.6597 0.6025 x1
O 0.3344 0.3333 0.3045 x1
O 0.3354 0.3332 0.6952 x1
O 0.3350 0.3336 0.0002 x1
O 0.3539 0.8229 0.3002 x1
O 0.3544 0.8235 0.6998 x1
O 0.5119 0.5106 0.8013 x1
O 0.5121 0.9784 0.1988 x1
O 0.5176 0.5041 0.1983 x1
O 0.5187 0.9788 0.8018 x1
O 0.6593 0.1701 0.3967 x1
O 0.6611 0.1705 0.6022 x1
O 0.6679 0.6664 0.3934 x1
O 0.6682 0.6664 0.6064 x1
O 0.6732 0.6708 0.8923 x1
O 0.6737 0.6562 0.1073 x1
O 0.6754 0.1531 0.8953 x1
O 0.6768 0.1719 0.1038 x1
O 0.8247 0.3530 0.3008 x1
O 0.8254 0.3525 0.6999 x1
O 0.8250 0.8229 0.6992 x1
O 0.8260 0.8223 0.3001 x1
O 0.9799 0.5031 0.1979 x1
O 0.9810 0.5163 0.8019 x1
O 0.9975 0.0056 0.1938 x1
O 0.9988 0.9969 0.8061 x1
O 0.9987 0.9993 0.5005 x1


Computed relative energies in units of kJ/mol of atoms: run a 45.7; run b 0.0